No. 1
UH3 | GGA-PBE | optimized geometry

Calculated formation energy   -0.402 eV/atom
Electronic total energy   -5.64 eV per atom
V   287.3 Å³/cell

Structure (POSCAR):
```
UH3
1.0
6.599 0.000 0.000
0.000 6.599 0.000
0.000 0.000 6.599
U H
8 24
direct
0.000 0.000 0.000
0.500 0.500 0.500
0.250 0.000 0.500
0.750 0.000 0.500
0.000 0.500 0.250
0.000 0.500 0.750
0.500 0.750 0.000
0.500 0.250 0.000
0.000 0.155 0.305
0.500 0.195 0.655
0.500 0.805 0.345
0.805 0.655 0.500
0.195 0.655 0.500
0.345 0.500 0.805
0.655 0.500 0.805
0.305 0.000 0.155
0.155 0.305 0.000
0.845 0.695 0.000
0.305 0.000 0.845
0.845 0.305 0.000
0.695 0.000 0.155
0.695 0.000 0.845
0.155 0.695 0.000
0.000 0.845 0.695
0.000 0.155 0.695
0.000 0.845 0.305
0.655 0.500 0.195
0.345 0.500 0.195
0.805 0.345 0.500
0.195 0.345 0.500
0.500 0.805 0.655
0.500 0.195 0.345
```



No. 2
UH3 | GGA-PBE | optimized geometry

Calculated formation energy   -0.397 eV/atom
Electronic total energy   -5.63 eV per atom
V   70.2 Å³/cell

Structure (POSCAR):
```
UH3
1.0
-1.377 -0.904 -3.783
3.449 -2.138 -0.745
-1.797 -3.411 1.469
U H
2 6
direct
0.500 0.500 0.500
0.000 0.000 0.000
0.500 0.250 0.000
0.500 0.750 0.000
0.250 0.000 0.500
0.750 0.000 0.500
0.000 0.500 0.250
0.000 0.500 0.750
```



No. 3
HW3 | GGA-PBE | optimized geometry

Calculated formation energy   1.088 eV/atom
Electronic total energy   -9.48 eV per atom
Spin magnetization   0.0 μB/cell
V   115.2 Å³/cell

Structure (POSCAR):
```
HW3
1.0
5.510 0.000 0.000
-2.755 4.771 0.000
0.000 0.000 4.382
H W
2 6
direct
0.333 0.667 0.750
0.667 0.333 0.250
0.165 0.330 0.250
0.670 0.835 0.250
0.165 0.835 0.250
0.835 0.670 0.750
0.330 0.165 0.750
0.835 0.165 0.750
```



No. 4
HW | GGA-PBE | optimized geometry

Calculated formation energy   0.158 eV/atom
Electronic total energy   -8.02 eV per atom
Spin magnetization   0.0 μB/cell
V   35.9 Å³/cell

Structure (POSCAR):
```
HW
1.0
1.474 -2.554 0.000
1.474 2.554 0.000
0.000 0.000 4.765
H W
2 2
direct
0.000 0.000 0.000
0.000 0.000 0.500
0.667 0.333 0.250
0.333 0.667 0.750
```



No. 5
H2W | GGA-PBE | optimized geometry

Calculated formation energy   0.295 eV/atom
Electronic total energy   -6.29 eV per atom
Spin magnetization   0.0 μB/cell
V   84.5 Å³/cell

Structure (POSCAR):
```
H2W
1.0
-0.952 -0.486 -2.924
3.253 -3.852 -0.419
-3.766 -3.375 1.788
H W
8 4
direct
0.250 0.613 0.074
0.250 0.113 0.426
0.750 0.387 0.926
0.750 0.887 0.574
0.250 0.475 0.670
0.250 0.975 0.830
0.750 0.525 0.330
0.750 0.025 0.170
0.750 0.771 0.914
0.750 0.271 0.586
0.250 0.229 0.086
0.250 0.729 0.414
```



No. 6
Y3H2 | GGA-PBE | optimized geometry

Calculated formation energy   -0.474 eV/atom
Electronic total energy   -5.64 eV per atom
V   207.0 Å³/cell

Structure (POSCAR):
```
Y3H2
1.0
-3.547 0.710 0.789
1.947 -2.308 2.143
4.907 13.417 9.993
Y H
6 4
direct
0.667 0.333 0.412
0.333 0.667 0.912
0.333 0.667 0.250
0.667 0.333 0.088
0.333 0.667 0.588
0.667 0.333 0.750
0.333 0.667 0.120
0.333 0.667 0.380
0.667 0.333 0.880
0.667 0.333 0.620
```



No. 7
ZrH2 | GGA-PBE | optimized geometry

Calculated formation energy   -0.663 eV/atom
Electronic total energy   -5.65 eV per atom
Spin magnetization   0.0 μB/cell
V   28.0 Å³/cell

Structure (POSCAR):
```
ZrH2
1.0
-2.409 -2.409 0.000
-2.409 0.000 -2.409
0.000 -2.409 -2.409
Zr H
1 2
direct
0.000 0.000 0.000
0.250 0.250 0.250
0.750 0.750 0.750
```



No. 8
ZrH2 | GGA-PBE | optimized geometry

Calculated formation energy   -0.670 eV/atom
Electronic total energy   -5.66 eV per atom
V   27.9 Å³/cell

Structure (POSCAR):
```
ZrH2
1.0
1.771 1.771 2.226
1.771 -1.771 -2.226
-1.771 1.771 -2.226
Zr H
1 2
direct
0.000 0.000 0.000
0.500 0.750 0.250
0.500 0.250 0.750
```



No. 9
ZrH | GGA-PBE | optimized geometry

Calculated formation energy   -0.502 eV/atom
Electronic total energy   -6.38 eV per atom
V   52.8 Å³/cell

Structure (POSCAR):
```
ZrH
1.0
3.247 0.000 0.000
0.000 3.247 0.000
0.000 0.000 5.013
Zr H
2 2
direct
0.500 0.000 0.500
0.000 0.500 0.000
0.000 0.000 0.250
0.000 0.000 0.750
```



No. 10
ZrH | GGA-PBE | optimized geometry

Calculated formation energy   -0.406 eV/atom
Electronic total energy   -6.29 eV per atom
Spin magnetization   0.0 μB/cell
V   27.1 Å³/cell

Structure (POSCAR):
```
ZrH
1.0
-1.644 1.644 2.504
1.644 -1.644 2.504
1.644 1.644 -2.504
Zr H
1 1
direct
0.000 0.000 0.000
0.750 0.250 0.500
```



No. 11
SiO2He | GGA-PBE | optimized geometry

Relative energy among the computed polymorphs   3 meV per atom
Calculated formation energy   -2.425 eV/atom
Electronic total energy   -5.91 eV per atom
Spin magnetization   0.0 μB/cell
V   403.4 Å³/cell

Structure (POSCAR):
```
SiO2He
1.0
-3.704 2.766 -2.369
3.149 -2.639 -8.007
-3.155 -8.599 -5.109
He Si O
8 8 16
direct
0.193 0.377 0.043
0.693 0.623 0.457
0.807 0.623 0.957
0.307 0.377 0.543
0.803 0.869 0.044
0.303 0.131 0.456
0.197 0.131 0.956
0.697 0.869 0.544
0.804 0.375 0.316
0.304 0.625 0.184
0.196 0.625 0.684
0.696 0.375 0.816
0.700 0.125 0.191
0.200 0.875 0.309
0.300 0.875 0.809
0.800 0.125 0.691
0.756 0.241 0.262
0.256 0.759 0.238
0.244 0.759 0.738
0.744 0.241 0.762
0.811 0.259 0.504
0.311 0.741 0.996
0.189 0.741 0.496
0.689 0.259 0.004
0.578 0.525 0.252
0.078 0.475 0.248
0.422 0.475 0.748
0.922 0.525 0.752
0.924 0.975 0.244
0.424 0.025 0.256
0.076 0.025 0.756
0.576 0.975 0.744
```



No. 12
SiO2He | GGA-PBE | optimized geometry

Relative energy among the computed polymorphs   0 meV per atom
Calculated formation energy   -2.428 eV/atom
Electronic total energy   -5.92 eV per atom
Spin magnetization   0.0 μB/cell
V   201.7 Å³/cell

Structure (POSCAR):
```
SiO2He
1.0
8.772 -2.596 0.000
8.772 2.596 0.000
8.004 0.000 4.430
He Si O
4 4 8
direct
0.680 0.680 0.680
0.320 0.320 0.320
0.180 0.180 0.180
0.820 0.820 0.820
0.938 0.938 0.938
0.062 0.062 0.062
0.438 0.438 0.438
0.562 0.562 0.562
0.000 0.000 0.000
0.500 0.500 0.500
0.250 0.694 0.806
0.806 0.250 0.694
0.694 0.806 0.250
0.750 0.306 0.194
0.194 0.750 0.306
0.306 0.194 0.750
```



No. 13
Hf | GGA-PBE | optimized geometry

Relative energy among the computed polymorphs   176 meV per atom
Calculated formation energy   0.176 eV/atom
Electronic total energy   -9.78 eV per atom
V   22.2 Å³/cell

Structure (POSCAR):
```
Hf
1.0
-1.771 1.771 1.771
1.771 -1.771 1.771
1.771 1.771 -1.771
Hf
1
direct
0.000 0.000 0.000
```



No. 14
Hf | GGA-PBE | optimized geometry

Relative energy among the computed polymorphs   45 meV per atom
Calculated formation energy   0.045 eV/atom
Electronic total energy   -9.91 eV per atom
V   66.9 Å³/cell

Structure (POSCAR):
```
Hf
1.0
2.502 -4.333 0.000
2.502 4.333 0.000
0.000 0.000 3.087
Hf
3
direct
0.667 0.333 0.500
0.333 0.667 0.500
0.000 0.000 0.000
```



No. 15
Hf | GGA-PBE | optimized geometry

Relative energy among the computed polymorphs   72 meV per atom
Calculated formation energy   0.072 eV/atom
Electronic total energy   -9.88 eV per atom
V   22.5 Å³/cell

Structure (POSCAR):
```
Hf
1.0
2.255 -1.015 1.981
-0.749 -0.815 2.969
0.086 -3.044 0.877
Hf
1
direct
0.000 0.000 0.000
```



No. 16
Hf | GGA-PBE | optimized geometry

Relative energy among the computed polymorphs   0 meV per atom
Calculated formation energy   0.000 eV/atom
Electronic total energy   -9.96 eV per atom
V   45.0 Å³/cell

Structure (POSCAR):
```
Hf
1.0
-1.599 -2.770 0.000
-1.599 2.770 0.000
0.000 0.000 -5.075
Hf
2
direct
0.333 0.667 0.250
0.667 0.333 0.750
```



No. 17
HfHgO3 | GGA-PBE | optimized geometry

Calculated formation energy   -2.368 eV/atom
Electronic total energy   -6.98 eV per atom
Spin magnetization   0.0 μB/cell
V   70.1 Å³/cell

Structure (POSCAR):
```
HfHgO3
1.0
4.123 0.000 0.000
0.000 4.123 0.000
0.000 0.000 4.123
Hf Hg O
1 1 3
direct
0.500 0.500 0.500
0.000 0.000 0.000
0.500 0.500 0.000
0.500 0.000 0.500
0.000 0.500 0.500
```



No. 18
Ho2Hf2O5 | GGA-PBE | optimized geometry

Calculated formation energy   -3.105 eV/atom
Electronic total energy   -8.70 eV per atom
Spin magnetization   0.0 μB/cell
V   125.0 Å³/cell

Structure (POSCAR):
```
Ho2Hf2O5
1.0
4.096 0.000 0.000
0.000 4.096 0.000
0.000 0.000 7.447
Ho Hf O
2 2 5
direct
0.000 0.000 0.000
0.000 0.000 0.500
0.500 0.500 0.220
0.500 0.500 0.780
0.500 0.000 0.261
0.500 0.000 0.739
0.500 0.500 0.500
0.000 0.500 0.261
0.000 0.500 0.739
```



No. 19
Ho2Hf2O7 | GGA-PBE | optimized geometry

Calculated formation energy   -4.012 eV/atom
Electronic total energy   -9.37 eV per atom
V   287.6 Å³/cell

Structure (POSCAR):
```
Ho2Hf2O7
1.0
0.000 5.239 5.239
5.239 0.000 5.239
5.239 5.239 0.000
Ho Hf O
4 4 14
direct
0.125 0.125 0.625
0.125 0.125 0.125
0.625 0.125 0.125
0.125 0.625 0.125
0.625 0.625 0.625
0.125 0.625 0.625
0.625 0.625 0.125
0.625 0.125 0.625
0.536 0.964 0.536
0.536 0.536 0.964
0.286 0.714 0.286
0.536 0.964 0.964
0.714 0.286 0.714
0.964 0.536 0.536
0.714 0.714 0.286
0.714 0.286 0.286
0.250 0.250 0.250
0.286 0.714 0.714
0.964 0.964 0.536
0.286 0.286 0.714
0.000 0.000 0.000
0.964 0.536 0.964
```



No. 20
Ho2HfS5 | GGA-PBE | optimized geometry

Calculated formation energy   -2.183 eV/atom
Electronic total energy   -6.84 eV per atom
V   644.8 Å³/cell

Structure (POSCAR):
```
Ho2HfS5
1.0
7.244 0.000 0.000
0.000 7.713 0.000
0.000 0.000 11.540
Ho Hf S
8 4 20
direct
0.521 0.497 0.321
0.979 0.003 0.821
0.479 0.997 0.679
0.021 0.503 0.179
0.479 0.503 0.679
0.021 0.997 0.179
0.521 0.003 0.321
0.979 0.497 0.821
0.077 0.750 0.494
0.423 0.750 0.994
0.923 0.250 0.506
0.577 0.250 0.006
0.839 0.963 0.594
0.661 0.537 0.094
0.161 0.463 0.406
0.339 0.037 0.906
0.161 0.037 0.406
0.339 0.463 0.906
0.839 0.537 0.594
0.661 0.963 0.094
0.832 0.750 0.319
0.668 0.750 0.819
0.168 0.250 0.681
0.332 0.250 0.181
0.448 0.750 0.496
0.052 0.750 0.996
0.552 0.250 0.504
0.948 0.250 0.004
0.190 0.750 0.707
0.310 0.750 0.207
0.810 0.250 0.293
0.690 0.250 0.793
```



No. 21
Hf3I | GGA-PBE | optimized geometry

Calculated formation energy   0.273 eV/atom
Electronic total energy   -7.48 eV per atom
Spin magnetization   0.0 μB/cell
V   180.4 Å³/cell

Structure (POSCAR):
```
Hf3I
1.0
-3.384 5.058 1.429
0.133 -2.112 -5.882
-4.213 -3.107 1.020
Hf I
6 2
direct
0.838 0.162 0.750
0.323 0.162 0.750
0.838 0.677 0.750
0.162 0.838 0.250
0.677 0.838 0.250
0.162 0.323 0.250
0.667 0.333 0.250
0.333 0.667 0.750
```



No. 22
HfI3 | GGA-PBE | optimized geometry

Calculated formation energy   -1.164 eV/atom
Electronic total energy   -4.51 eV per atom
V   343.9 Å³/cell

Structure (POSCAR):
```
HfI3
1.0
0.000 0.000 -6.492
-3.910 -6.773 0.000
-7.820 0.000 0.000
Hf I
2 6
direct
0.000 0.000 0.000
0.500 0.000 0.000
0.750 0.307 0.693
0.250 0.693 0.307
0.750 0.693 0.000
0.250 0.000 0.693
0.250 0.307 0.000
0.750 0.000 0.307
```